Density functional theory data (PBE) for Tm5P12Ir19 after structural relaxation.

Its space-group type is P-62m.

Cell lengths 12.7016, 12.7016, 3.9639 Å; angles 90.00, 90.00, 120.00 degrees
Closest atoms and distances in Å follow each position.
Fractional coordinates of all 36 atoms:
1 Tm 0.0000 0.8151 0.0000  6 P 2.95-3.04, 8 Ir 3.07-3.17
2 Tm 0.1849 0.1849 0.0000  6 P 2.95-3.04, 8 Ir 3.07-3.17
3 Tm 0.3333 0.6667 0.5000  6 P 2.97, 9 Ir 3.10-3.22
4 Tm 0.6667 0.3333 0.5000  6 P 2.97, 9 Ir 3.10-3.22
5 Tm 0.8151 0.0000 0.0000  6 P 2.95-3.04, 8 Ir 3.07-3.17
6 P 0.0000 0.1775 0.5000  5 Ir 2.26-2.40
7 P 0.0000 0.6430 0.5000  3 Ir 2.29-2.35
8 P 0.1710 0.4826 0.0000  5 Ir 2.26-2.45
9 P 0.1775 0.0000 0.5000  5 Ir 2.26-2.40
10 P 0.3115 0.8290 0.0000  5 Ir 2.26-2.45
11 P 0.3570 0.3570 0.5000  3 Ir 2.29-2.35
12 P 0.4826 0.1710 0.0000  5 Ir 2.26-2.45
13 P 0.5174 0.6885 0.0000  5 Ir 2.26-2.45
14 P 0.6430 0.0000 0.5000  3 Ir 2.29-2.35
15 P 0.6885 0.5174 0.0000  5 Ir 2.26-2.45
16 P 0.8225 0.8225 0.5000  5 Ir 2.26-2.40
17 P 0.8290 0.3115 0.0000  5 Ir 2.26-2.45
18 Ir 0.0000 0.0000 0.5000  3 P 2.26
19 Ir 0.0000 0.2836 0.0000  4 P 2.37-2.40
20 Ir 0.0000 0.4628 0.5000  1 P 2.29
21 Ir 0.1340 0.6393 0.0000  2 P 2.26-2.34
22 Ir 0.1810 0.3738 0.5000  4 P 2.35-2.45
23 Ir 0.1928 0.8190 0.5000  4 P 2.35-2.45
24 Ir 0.2836 0.0000 0.0000  4 P 2.37-2.40
25 Ir 0.3607 0.4946 0.0000  2 P 2.26-2.34
26 Ir 0.3738 0.1810 0.5000  4 P 2.35-2.45
27 Ir 0.4628 0.0000 0.5000  1 P 2.29
28 Ir 0.4946 0.3607 0.0000  2 P 2.26-2.34
29 Ir 0.5054 0.8660 0.0000  2 P 2.26-2.34
30 Ir 0.5372 0.5372 0.5000  1 P 2.29
31 Ir 0.6262 0.8072 0.5000  4 P 2.35-2.45
32 Ir 0.6393 0.1340 0.0000  2 P 2.26-2.34
33 Ir 0.7164 0.7164 0.0000  4 P 2.37-2.40
34 Ir 0.8072 0.6262 0.5000  4 P 2.35-2.45
35 Ir 0.8190 0.1928 0.5000  4 P 2.35-2.45
36 Ir 0.8660 0.5054 0.0000  2 P 2.26-2.34

***

Density functional theory data (PBE) for PaIr3 after structural relaxation.

Its space-group type is Pm-3m.

Cell lengths 4.0887, 4.0887, 4.0887 Å; angles 90.00, 90.00, 90.00 degrees
Closest atoms and distances in Å follow each position.
Fractional coordinates of all 4 atoms:
1 Pa 0.0000 0.0000 0.0000  12 Ir 2.89
2 Ir 0.0000 0.5000 0.5000  4 Pa 2.89, 8 Ir 2.89
3 Ir 0.5000 0.0000 0.5000  4 Pa 2.89, 8 Ir 2.89
4 Ir 0.5000 0.5000 0.0000  4 Pa 2.89, 8 Ir 2.89

***

Density functional theory data (PBE) for Ir3Pb after structural relaxation.

The spin magnetization is 0.000 μB per formula unit. Its space-group type is Pm-3m.

Cell lengths 4.0520, 4.0520, 4.0520 Å; angles 90.00, 90.00, 90.00 degrees
Closest atoms and distances in Å follow each position.
Fractional coordinates of all 4 atoms:
1 Ir 0.0000 0.0000 0.5000  4 Pb 2.87, 8 Ir 2.87
2 Ir 0.0000 0.5000 0.0000  4 Pb 2.87, 8 Ir 2.87
3 Ir 0.5000 0.0000 0.0000  4 Pb 2.87, 8 Ir 2.87
4 Pb 0.5000 0.5000 0.5000  12 Ir 2.87

***

Density functional theory data (PBE) for Ir3Pb after structural relaxation.

The spin magnetization is 0.058 μB per formula unit. Its space-group type is I4/mmm.

Cell lengths 4.1224, 4.1224, 7.8323 Å; angles 90.00, 90.00, 90.00 degrees
Closest atoms and distances in Å follow each position.
Fractional coordinates of all 8 atoms:
1 Ir 0.0000 0.0000 0.0000  8 Ir 2.84, 4 Pb 2.91
2 Ir 0.0000 0.5000 0.2500  4 Pb 2.84, 8 Ir 2.84-2.91
3 Ir 0.0000 0.5000 0.7500  4 Pb 2.84, 8 Ir 2.84-2.91
4 Ir 0.5000 0.0000 0.2500  4 Pb 2.84, 8 Ir 2.84-2.91
5 Ir 0.5000 0.0000 0.7500  4 Pb 2.84, 8 Ir 2.84-2.91
6 Ir 0.5000 0.5000 0.5000  8 Ir 2.84, 4 Pb 2.91
7 Pb 0.0000 0.0000 0.5000  12 Ir 2.84-2.91
8 Pb 0.5000 0.5000 0.0000  12 Ir 2.84-2.91

***

Density functional theory data (PBE) for IrPb after structural relaxation.

The spin magnetization is 0.000 μB per formula unit. Its space-group type is P6_3/mmc.

Cell lengths 4.1979, 4.1979, 5.6757 Å; angles 90.00, 90.00, 120.00 degrees
Closest atoms and distances in Å follow each position.
Fractional coordinates of all 4 atoms:
1 Ir 0.0000 0.0000 0.0000  6 Pb 2.81, 2 Ir 2.84
2 Ir 0.0000 0.0000 0.5000  6 Pb 2.81, 2 Ir 2.84
3 Pb 0.3333 0.6667 0.2500  6 Ir 2.81
4 Pb 0.6667 0.3333 0.7500  6 Ir 2.81

***

Density functional theory data (PBE) for IrPd3 after structural relaxation.

The spin magnetization is 0.000 μB per formula unit. Its space-group type is I4/mmm.

Cell lengths 3.9389, 3.9389, 7.7857 Å; angles 90.00, 90.00, 90.00 degrees
Closest atoms and distances in Å follow each position.
Fractional coordinates of all 8 atoms:
1 Ir 0.0000 0.0000 0.0000  12 Pd 2.77-2.79
2 Ir 0.5000 0.5000 0.5000  12 Pd 2.77-2.79
3 Pd 0.0000 0.0000 0.5000  8 Pd 2.77, 4 Ir 2.79
4 Pd 0.0000 0.5000 0.2500  4 Ir 2.77, 8 Pd 2.77-2.79
5 Pd 0.0000 0.5000 0.7500  4 Ir 2.77, 8 Pd 2.77-2.79
6 Pd 0.5000 0.0000 0.2500  4 Ir 2.77, 8 Pd 2.77-2.79
7 Pd 0.5000 0.0000 0.7500  4 Ir 2.77, 8 Pd 2.77-2.79
8 Pd 0.5000 0.5000 0.0000  8 Pd 2.77, 4 Ir 2.79

***

Values for ΔE_f, eV per atom, ordered as above
-0.797 -0.865 0.446 0.461 0.246 0.128
Values for raw total energy, eV per atom, ordered as above
-7.89 -9.87 -7.11 -7.10 -6.03 -5.97